Entry 1:
# KIO3

A relaxed structure of KIO3 (GGA-PBE, the Materials Project database).

The volume is 93.2 Å³/f.u. As for the MP2020-corrected energy: -4.865 eV/atom. For the formation enthalpy at 0 K, the calculation gives -1370 meV per atom. The calculated density comes out at 3.81 Mg/m³. As for the symmetry: R3c, No. 161. The value obtained for the total energy is -4.453 eV per atom.

Cell lengths 6.4550, 6.4550, 6.4550 Å; angles 59.12, 59.12, 59.12 degrees
Fractional coordinates of all 10 atoms:
K 0.7477 0.7477 0.7477
K 0.2477 0.2477 0.2477
I 0.0024 0.0024 0.0024
I 0.5024 0.5024 0.5024
O 0.7674 0.2569 0.1431
O 0.1431 0.7674 0.2569
O 0.2569 0.1431 0.7674
O 0.2674 0.6431 0.7569
O 0.7569 0.2674 0.6431
O 0.6431 0.7569 0.2674

=====

Entry 2:
# YSiPt

A relaxed structure of YSiPt (GGA-PBE, the Materials Project database).

The volume is 56.6 Å³/f.u. For the formation enthalpy at 0 K, the calculation gives -1197 meV per atom. The calculated density comes out at 9.16 Mg/m³. As for the symmetry: Pnma, No. 62. The value obtained for the total energy is -7.184 eV per atom.

Cell lengths 4.3152, 7.0206, 7.4691 Å; angles 90.00, 90.00, 90.00 degrees
Fractional coordinates of all 12 atoms:
Y 0.2500 0.9977 0.2981
Y 0.2500 0.4977 0.2019
Y 0.7500 0.0023 0.7019
Y 0.7500 0.5023 0.7981
Si 0.2500 0.3135 0.5874
Si 0.2500 0.8135 0.9126
Si 0.7500 0.6865 0.4126
Si 0.7500 0.1865 0.0874
Pt 0.2500 0.1992 0.9151
Pt 0.2500 0.6992 0.5849
Pt 0.7500 0.8008 0.0849
Pt 0.7500 0.3008 0.4151

=====

Entry 3:
# Pr2CuS2O

A relaxed structure of Pr2CuS2O (GGA-PBE, the Materials Project database).

The volume is 195.3 Å³/f.u. As for the MP2020-corrected energy: -5.228 eV/atom. For the formation enthalpy at 0 K, the calculation gives -748 meV per atom. The calculated density comes out at 3.62 Mg/m³. As for the symmetry: P4/mmm, No. 123. The value obtained for the total energy is -4.946 eV per atom.

Cell lengths 3.7401, 3.7401, 13.9610 Å; angles 90.00, 90.00, 90.00 degrees
Fractional coordinates of all 6 atoms:
Pr 0.5000 0.5000 0.6549
Pr 0.5000 0.5000 0.3451
Cu 0.5000 0.5000 0.0000
S 0.5000 0.5000 0.1491
S 0.5000 0.5000 0.8509
O 0.5000 0.5000 0.5000

=====

Entry 4:
# CsB9H14

A relaxed structure of CsB9H14 (GGA-PBE, the Materials Project database).

The volume is 257.9 Å³/f.u. As for the MP2020-corrected energy: -4.792 eV/atom. For the formation enthalpy at 0 K, the calculation gives -271 meV per atom. The calculated density comes out at 1.57 Mg/m³. As for the symmetry: P-1, No. 2. The value obtained for the total energy is -4.688 eV per atom.

Cell lengths 5.8828, 8.8513, 10.1043 Å; angles 87.66, 82.44, 81.49 degrees
Fractional coordinates of all 48 atoms:
Cs 0.9163 0.7287 0.2078
Cs 0.0837 0.2713 0.7922
B 0.7479 0.8646 0.5835
B 0.2521 0.1354 0.4165
B 0.6566 0.0009 0.7275
B 0.3434 0.9991 0.2725
B 0.7152 0.8841 0.8792
B 0.2848 0.1159 0.1208
B 0.5313 0.7275 0.9137
B 0.4687 0.2725 0.0863
B 0.6124 0.6158 0.7473
B 0.3876 0.3842 0.2527
B 0.5973 0.7016 0.5857
B 0.4027 0.2984 0.4143
B 0.8852 0.8533 0.7264
B 0.1148 0.1467 0.2736
B 0.8142 0.6931 0.8276
B 0.1858 0.3069 0.1724
B 0.8555 0.6795 0.6496
B 0.1445 0.3205 0.3504
H 0.5275 0.8509 0.5743
H 0.4725 0.1491 0.4257
H 0.4325 0.6902 0.6842
H 0.5675 0.3098 0.3158
H 0.8285 0.9102 0.4770
H 0.1715 0.0898 0.5230
H 0.4508 0.0022 0.7308
H 0.5492 0.9978 0.2692
H 0.7139 0.1267 0.7113
H 0.2861 0.8733 0.2887
H 0.4943 0.8840 0.9150
H 0.5057 0.1160 0.0850
H 0.7988 0.9297 0.9696
H 0.2012 0.0703 0.0304
H 0.3398 0.7391 0.8782
H 0.6602 0.2609 0.1218
H 0.5302 0.6676 0.0230
H 0.4698 0.3324 0.9770
H 0.5732 0.4866 0.7610
H 0.4268 0.5134 0.2390
H 0.9798 0.4030 0.4022
H 0.0202 0.5970 0.5978
H 0.0503 0.3896 0.1129
H 0.9497 0.6104 0.8871
H 0.9259 0.1080 0.2826
H 0.0741 0.8920 0.7174
H 0.4450 0.3618 0.5082
H 0.5550 0.6382 0.4918

=====

Entry 5:
# SrCdSn

A relaxed structure of SrCdSn (GGA-PBE, the Materials Project database).

The volume is 90.5 Å³/f.u. For the formation enthalpy at 0 K, the calculation gives -494 meV per atom. The calculated density comes out at 5.85 Mg/m³. As for the symmetry: C2/m, No. 12. The value obtained for the total energy is -2.702 eV per atom.

Cell lengths 5.1121, 6.3855, 6.5826 Å; angles 95.62, 112.85, 66.40 degrees
Fractional coordinates of all 6 atoms:
Sr 0.7478 0.7087 0.2044
Sr 0.2522 0.2913 0.7956
Cd 0.5596 0.2799 0.3991
Cd 0.4404 0.7201 0.6009
Sn 0.0520 0.1104 0.2145
Sn 0.9480 0.8896 0.7855

=====

Entry 6:
# GeSb

A relaxed structure of GeSb (GGA-PBE, the Materials Project database).

The volume is 66.5 Å³/f.u. As for the MP2020-corrected energy: -4.203 eV/atom. For the formation enthalpy at 0 K, the calculation gives 173 meV per atom. The calculated density comes out at 4.86 Mg/m³. As for the symmetry: F-43m, No. 216. The value obtained for the total energy is -4.107 eV per atom.

Cell lengths 4.5470, 4.5470, 4.5470 Å; angles 60.00, 60.00, 60.00 degrees
Fractional coordinates of all 2 atoms:
Ge 0.2500 0.2500 0.2500
Sb 0.0000 0.0000 0.0000